Li2FeSiO4 | PBE with a Hubbard U | optimized geometry

Lattice parameters (Å, degrees): 5.1054 8.3466 8.3249 99.14 90.00 90.00
Fractional positions:
Fe: 0.0825 0.7075 0.4575
Fe: 0.6872 0.7931 0.0431
Fe: 0.1871 0.2068 0.9569
Fe: 0.5826 0.2925 0.5425
O: 0.0977 0.8135 0.0616
O: 0.5977 0.1865 0.9384
O: 0.6950 0.5725 0.1139
O: 0.5862 0.8628 0.8304
O: 0.0159 0.0352 0.7835
O: 0.5159 0.9648 0.2165
O: 0.7536 0.4641 0.7161
O: 0.1950 0.4275 0.8861
O: 0.5743 0.0721 0.6138
O: 0.0743 0.9279 0.3862
O: 0.6721 0.6868 0.4387
O: 0.1721 0.3132 0.5613
O: 0.6833 0.3632 0.3303
O: 0.0863 0.1372 0.1696
O: 0.1833 0.6368 0.6697
O: 0.2536 0.5359 0.2839
Si: 0.6923 0.0404 0.7914
Si: 0.5772 0.5408 0.2916
Si: 0.1923 0.9596 0.2086
Si: 0.0772 0.4592 0.7084
Li: 0.6757 0.9214 0.4166
Li: 0.1757 0.0786 0.5834
Li: 0.0939 0.5787 0.0834
Li: 0.1924 0.8358 0.8349
Li: 0.0775 0.3364 0.3347
Li: 0.6924 0.1642 0.1651
Li: 0.5775 0.6636 0.6653
Li: 0.5939 0.4212 0.9166

Properties
For the total DFT energy (no corrections), the calculation gives -6.62 eV per atom. For the mass density, the calculation gives 3.07 g cm⁻³. Its energy of formation is -2.56 eV per atom.


LiFeSi2O6 | PBE with a Hubbard U | optimized geometry

Lattice parameters (Å, degrees): 5.2071 9.5556 18.5239 90.00 90.00 90.00
Fractional positions:
O: 0.7134 0.3487 0.9399
O: 0.0667 0.3488 0.8145
O: 0.7866 0.8487 0.0601
O: 0.0872 0.9892 0.8152
O: 0.5872 0.5108 0.8152
O: 0.0872 0.4892 0.6848
O: 0.3474 0.2634 0.6989
O: 0.5667 0.1512 0.8145
O: 0.1526 0.2634 0.1989
O: 0.2866 0.6513 0.0601
O: 0.4128 0.9892 0.3152
O: 0.1526 0.7634 0.3011
O: 0.2134 0.6513 0.5601
O: 0.6526 0.7366 0.3011
O: 0.9134 0.1997 0.0499
O: 0.4333 0.8488 0.1855
O: 0.5667 0.6512 0.6855
O: 0.5872 0.0108 0.6848
O: 0.5866 0.1997 0.5499
O: 0.9134 0.6997 0.4501
O: 0.4333 0.3488 0.3145
O: 0.4134 0.3003 0.0499
O: 0.8474 0.7366 0.8011
O: 0.9333 0.6512 0.1855
O: 0.6746 0.9677 0.9281
O: 0.4134 0.8003 0.4501
O: 0.8254 0.4677 0.0719
O: 0.0866 0.3003 0.5499
O: 0.7134 0.8487 0.5601
O: 0.1746 0.0323 0.5719
O: 0.8474 0.2366 0.6989
O: 0.5866 0.6997 0.9501
O: 0.8254 0.9677 0.4281
O: 0.3254 0.5323 0.4281
O: 0.4128 0.4892 0.1848
O: 0.7866 0.3487 0.4399
O: 0.9128 0.0108 0.1848
O: 0.6746 0.4677 0.5719
O: 0.9333 0.1512 0.3145
O: 0.3474 0.7634 0.8011
O: 0.6526 0.2366 0.1989
O: 0.3254 0.0323 0.0719
O: 0.9128 0.5108 0.3152
O: 0.0667 0.8488 0.6855
O: 0.2866 0.1513 0.4399
O: 0.0866 0.8003 0.9501
O: 0.1746 0.5323 0.9281
O: 0.2134 0.1513 0.9399
Si: 0.7814 0.8323 0.9719
Si: 0.9199 0.1614 0.2265
Si: 0.9199 0.6614 0.2735
Si: 0.7814 0.3323 0.5281
Si: 0.4199 0.8386 0.2735
Si: 0.0801 0.8386 0.7735
Si: 0.5801 0.6614 0.7735
Si: 0.2186 0.6677 0.4719
Si: 0.7186 0.8323 0.4719
Si: 0.4199 0.3386 0.2265
Si: 0.0801 0.3386 0.7265
Si: 0.7186 0.3323 0.0281
Si: 0.2814 0.6677 0.9719
Si: 0.2186 0.1677 0.0281
Si: 0.2814 0.1677 0.5281
Si: 0.5801 0.1614 0.7265
Fe: 0.6207 0.9757 0.1245
Fe: 0.8793 0.4757 0.8755
Fe: 0.6207 0.4757 0.3755
Fe: 0.8793 0.9757 0.6245
Fe: 0.3793 0.5243 0.6245
Fe: 0.1207 0.0243 0.3755
Fe: 0.3793 0.0243 0.8755
Fe: 0.1207 0.5243 0.1245
Li: 0.6183 0.6375 0.1238
Li: 0.3817 0.3625 0.8762
Li: 0.8817 0.6375 0.6238
Li: 0.1183 0.8625 0.1238
Li: 0.1183 0.3625 0.3762
Li: 0.3817 0.8625 0.6238
Li: 0.6183 0.1375 0.3762
Li: 0.8817 0.1375 0.8762

Properties
For the total DFT energy (no corrections), the calculation gives -7.16 eV per atom. For the mass density, the calculation gives 3.10 g cm⁻³. Its energy of formation is -2.71 eV per atom.


Li2FeSi3O8 | PBE with a Hubbard U | optimized geometry

Lattice parameters (Å, degrees): 6.2981 10.2064 6.2938 105.59 103.55 72.66
Fractional positions:
O: 0.8954 0.2536 0.9441
O: 0.1808 0.9937 0.8684
O: 0.3284 0.7193 0.8818
O: 0.1404 0.3515 0.3228
O: 0.1804 0.4937 0.8684
O: 0.8954 0.7536 0.9441
O: 0.7595 0.5263 0.1781
O: 0.5714 0.6777 0.5451
O: 0.0102 0.1443 0.5500
O: 0.1404 0.8515 0.3228
O: 0.7595 0.0264 0.1781
O: 0.7129 0.8047 0.2934
O: 0.5714 0.1778 0.5451
O: 0.7129 0.3047 0.2934
O: 0.0102 0.6443 0.5500
O: 0.3282 0.2195 0.8819
Si: 0.7563 0.1635 0.3990
Si: 0.7563 0.6635 0.3990
Si: 0.1163 0.6492 0.8197
Si: 0.8871 0.8597 0.1941
Si: 0.8871 0.3597 0.1940
Si: 0.1163 0.1493 0.8197
Fe: 0.2908 0.3254 0.6268
Fe: 0.2907 0.8254 0.6268
Li: 0.6417 0.1401 0.8544
Li: 0.3077 0.3908 0.1209
Li: 0.3078 0.8907 0.1208
Li: 0.6418 0.6400 0.8544

Properties
For the total DFT energy (no corrections), the calculation gives -7.11 eV per atom. For the mass density, the calculation gives 2.55 g cm⁻³. Its energy of formation is -2.79 eV per atom.


LiFeSiO4 | PBE with a Hubbard U | optimized geometry

Lattice parameters (Å, degrees): 5.8943 6.5021 9.4736 76.34 87.28 79.11
Fractional positions:
O: 0.8811 0.8109 0.6742
O: 0.2800 0.8986 0.6439
O: 0.8888 0.3436 0.0200
O: 0.7442 0.5255 0.2803
O: 0.2791 0.8477 0.1685
O: 0.8473 0.3000 0.5538
O: 0.1112 0.6564 0.9800
O: 0.4581 0.2674 0.0486
O: 0.7209 0.1523 0.8315
O: 0.1189 0.1891 0.3258
O: 0.1527 0.7000 0.4462
O: 0.2558 0.4745 0.7197
O: 0.7200 0.1014 0.3561
O: 0.1886 0.0645 0.8874
O: 0.8114 0.9355 0.1126
O: 0.5419 0.7326 0.9514
Si: 0.8609 0.2873 0.3822
Si: 0.1391 0.7127 0.6178
Si: 0.7205 0.1728 0.0000
Si: 0.2795 0.8272 0.0000
Li: 0.5660 0.3470 0.6714
Li: 0.5724 0.8450 0.7404
Li: 0.4340 0.6530 0.3286
Li: 0.4276 0.1550 0.2596
Fe: 0.1958 0.3615 0.9247
Fe: 0.9936 0.0659 0.7122
Fe: 0.0064 0.9341 0.2878
Fe: 0.8042 0.6385 0.0753

Properties
For the total DFT energy (no corrections), the calculation gives -6.84 eV per atom. For the mass density, the calculation gives 2.97 g cm⁻³. Its energy of formation is -2.47 eV per atom.


LiFeSiO4 | PBE with a Hubbard U | optimized geometry

Lattice parameters (Å, degrees): 8.7652 8.7652 8.1549 90.00 90.00 120.00
Fractional positions:
Si: 0.3116 0.3529 0.3959
Si: 0.6884 0.6471 0.8959
Si: 0.6471 0.9587 0.3959
Si: 0.9587 0.3116 0.8959
Si: 0.3529 0.0413 0.8959
Si: 0.0413 0.6884 0.3959
O: 0.8751 0.7646 0.9959
O: 0.1472 0.7327 0.2193
O: 0.2354 0.1105 0.9959
O: 0.4382 0.5374 0.4972
O: 0.5867 0.7604 0.8682
O: 0.7327 0.5855 0.7193
O: 0.2396 0.8263 0.8682
O: 0.8528 0.2673 0.7193
O: 0.7604 0.1737 0.3682
O: 0.0991 0.5618 0.4972
O: 0.8895 0.1249 0.9959
O: 0.4145 0.1472 0.7193
O: 0.1249 0.2354 0.4959
O: 0.5855 0.8528 0.2193
O: 0.2673 0.4145 0.2193
O: 0.5618 0.4626 0.9972
O: 0.1105 0.8751 0.4959
O: 0.5374 0.0991 0.9972
O: 0.8263 0.5867 0.3682
O: 0.1737 0.4133 0.8682
O: 0.9009 0.4382 0.9972
O: 0.4626 0.9009 0.4972
O: 0.4133 0.2396 0.3682
O: 0.7646 0.8895 0.4959
Fe: 0.3577 0.0441 0.5074
Fe: 0.3136 0.3577 0.0074
Fe: 0.9559 0.3136 0.5074
Fe: 0.6864 0.6423 0.5074
Fe: 0.0441 0.6864 0.0074
Fe: 0.6423 0.9559 0.0074
Li: 0.3333 0.6667 0.6616
Li: 0.0000 0.0000 0.5684
Li: 0.3333 0.6667 0.2530
Li: 0.0000 0.0000 0.0684
Li: 0.6667 0.3333 0.1616
Li: 0.6667 0.3333 0.7530

Properties
For the total DFT energy (no corrections), the calculation gives -6.85 eV per atom. For the mass density, the calculation gives 2.84 g cm⁻³. Its energy of formation is -2.48 eV per atom.


LiFeSi2O6 | PBE with a Hubbard U | optimized geometry

Lattice parameters (Å, degrees): 5.2335 5.2335 10.6368 76.15 76.15 89.28
Fractional positions:
O: 0.9566 0.6288 0.8643
O: 0.6133 0.7599 0.6637
O: 0.7728 0.2711 0.7578
O: 0.2711 0.7728 0.2578
O: 0.7599 0.6133 0.1637
O: 0.6906 0.3899 0.5145
O: 0.9713 0.1086 0.9667
O: 0.2904 0.3286 0.7303
O: 0.3286 0.2904 0.2303
O: 0.3899 0.6906 0.0145
O: 0.1086 0.9713 0.4667
O: 0.6288 0.9566 0.3643
Li: 0.6504 0.8436 0.8317
Li: 0.8436 0.6504 0.3317
Si: 0.4494 0.5906 0.1628
Si: 0.0023 0.3398 0.8316
Si: 0.3398 0.0023 0.3316
Si: 0.5906 0.4494 0.6628
Fe: 0.7522 0.0322 0.5064
Fe: 0.0322 0.7522 0.0064

Properties
For the total DFT energy (no corrections), the calculation gives -7.18 eV per atom. For the mass density, the calculation gives 2.60 g cm⁻³. Its energy of formation is -2.73 eV per atom.


LiFeSiO4 | PBE with a Hubbard U | optimized geometry

Lattice parameters (Å, degrees): 5.2323 5.2323 9.3392 90.00 90.00 120.00
Fractional positions:
Fe: 0.6667 0.3333 0.6353
Fe: 0.3333 0.6667 0.1353
O: 0.0300 0.3765 0.7044
O: 0.6667 0.3333 0.4385
O: 0.3765 0.3466 0.2044
O: 0.6534 0.0300 0.2044
O: 0.6235 0.6534 0.7044
O: 0.3466 0.9700 0.7044
O: 0.3333 0.6667 0.9385
O: 0.9700 0.6235 0.2044
Li: 0.0000 0.0000 0.6981
Li: 0.0000 0.0000 0.1981
Si: 0.6667 0.3333 0.2653
Si: 0.3333 0.6667 0.7653

Properties
For the total DFT energy (no corrections), the calculation gives -6.87 eV per atom. For the mass density, the calculation gives 2.32 g cm⁻³. Its energy of formation is -2.50 eV per atom.


Li5Fe5Si7O24 | PBE with a Hubbard U | optimized geometry

Lattice parameters (Å, degrees): 7.8641 7.9462 9.5052 89.04 89.68 89.51
Fractional positions:
Li: 0.2400 0.0052 0.0031
Li: 0.0212 0.2373 0.9808
Li: 0.7406 0.4972 0.2560
Li: 0.5275 0.2553 0.2779
Li: 0.3068 0.5821 0.7341
Si: 0.9198 0.0731 0.7612
Si: 0.4142 0.4282 0.4931
Si: 0.8896 0.6753 0.7673
Si: 0.6024 0.5920 0.0070
Si: 0.6745 0.8785 0.2455
Si: 0.3731 0.8275 0.4722
Si: 0.0764 0.9070 0.2461
O: 0.1038 0.0995 0.1871
O: 0.5488 0.8495 0.3805
O: 0.6200 0.4035 0.0835
O: 0.8699 0.8776 0.7396
O: 0.8517 0.5751 0.6264
O: 0.3676 0.3414 0.6455
O: 0.2003 0.8618 0.3795
O: 0.9302 0.4091 0.3489
O: 0.3163 0.3500 0.3586
O: 0.0839 0.6318 0.8198
O: 0.3668 0.6281 0.5274
O: 0.4156 0.6222 0.9383
O: 0.3772 0.9463 0.6073
O: 0.7495 0.6222 0.8897
O: 0.6211 0.0603 0.1776
O: 0.1404 0.8045 0.1081
O: 0.1070 0.4169 0.0754
O: 0.1170 0.0942 0.8188
O: 0.8196 0.1527 0.8980
O: 0.8827 0.1794 0.6190
O: 0.6094 0.4000 0.4371
O: 0.8764 0.8716 0.2898
O: 0.6462 0.7140 0.1436
O: 0.4343 0.1051 0.9086
Fe: 0.6222 0.1803 0.0009
Fe: 0.1148 0.3230 0.2577
Fe: 0.3353 0.1236 0.7287
Fe: 0.8307 0.3805 0.5270
Fe: 0.1828 0.6154 0.0007

Properties
For the total DFT energy (no corrections), the calculation gives -6.98 eV per atom. For the mass density, the calculation gives 2.50 g cm⁻³. Its energy of formation is -2.57 eV per atom.


LiFeSiO4 | PBE with a Hubbard U | optimized geometry

Lattice parameters (Å, degrees): 4.7795 6.2227 10.3545 90.00 90.00 90.00
Fractional positions:
O: 0.2608 0.5154 0.1676
O: 0.7392 0.0154 0.3324
O: 0.2807 0.7586 0.8973
O: 0.7193 0.2586 0.6027
O: 0.7287 0.6988 0.6001
O: 0.7713 0.3012 0.1001
O: 0.7470 0.4815 0.8086
O: 0.2392 0.4846 0.6676
O: 0.7530 0.5185 0.3086
O: 0.2287 0.8012 0.3999
O: 0.2713 0.1988 0.8999
O: 0.2470 0.0185 0.1914
O: 0.2193 0.2414 0.3973
O: 0.2530 0.9815 0.6914
O: 0.7807 0.7414 0.1027
O: 0.7608 0.9846 0.8324
Li: 0.5186 0.9676 0.5338
Li: 0.9814 0.0324 0.0338
Li: 0.0186 0.5324 0.4662
Li: 0.4814 0.4676 0.9662
Si: 0.5828 0.4815 0.6609
Si: 0.9172 0.5185 0.1609
Si: 0.0828 0.0185 0.3391
Si: 0.4172 0.9815 0.8391
Fe: 0.5019 0.2691 0.2554
Fe: 0.4981 0.7691 0.2446
Fe: 0.9981 0.7309 0.7554
Fe: 0.0019 0.2309 0.7446

Properties
For the total DFT energy (no corrections), the calculation gives -6.83 eV per atom. The largest piezoelectric modulus is 0.15 C/m2. For the mass density, the calculation gives 3.34 g cm⁻³. Its energy of formation is -2.46 eV per atom.